1.
# Ti2MnOs

A relaxed Ti2MnOs crystal (r²SCAN, the Materials Project database).

a = 4.3120 Å, b = 4.3120 Å, c = 4.3120 Å
α = 60.00°, β = 60.00°, γ = 60.00°
With the nearest neighbours (Å) after each atom.
Atoms (fractional coordinates):
Ti 0.0000 0.0000 0.0000  4 Os 2.64, 4 Mn 2.64
Ti 0.5000 0.5000 0.5000  4 Os 2.64, 4 Mn 2.64
Mn 0.2500 0.2500 0.2500  8 Ti 2.64
Os 0.7500 0.7500 0.7500  8 Ti 2.64

Summary:
final energy	-23.904	eV/atom
energy of formation from the pure elements	-2.1	eV per formula unit

***

2.
# PmTmCu2

A relaxed PmTmCu2 crystal (r²SCAN, the Materials Project database).

a = 4.9013 Å, b = 4.9013 Å, c = 4.9013 Å
α = 60.00°, β = 60.00°, γ = 60.00°
With the nearest neighbours (Å) after each atom.
Atoms (fractional coordinates):
Pm 0.5000 0.5000 0.5000  8 Cu 3.00
Tm 0.0000 0.0000 0.0000  8 Cu 3.00
Cu 0.7500 0.7500 0.7500  4 Tm 3.00, 4 Pm 3.00
Cu 0.2500 0.2500 0.2500  4 Pm 3.00, 4 Tm 3.00

Summary:
final energy	-21.808	eV/atom
energy of formation from the pure elements	-0.9	eV per formula unit

***

3.
# Lu2Mn12P7

A relaxed Lu2Mn12P7 crystal (r²SCAN, the Materials Project database).

a = 9.4858 Å, b = 9.4859 Å, c = 3.5878 Å
α = 90.00°, β = 90.00°, γ = 120.00°
With the nearest neighbours (Å) after each atom.
Atoms (fractional coordinates):
Lu 0.6667 0.3333 0.0000  6 P 2.81, 6 Mn 3.09
Lu 0.0000 0.0000 0.5000  6 P 2.82, 6 Mn 3.09
Mn 0.7604 0.7148 0.0000  4 P 2.34-2.40, 2 Mn 2.57
Mn 0.2852 0.0456 0.0000  4 P 2.34-2.40, 2 Mn 2.57
Mn 0.9543 0.2395 0.0000  4 P 2.34-2.40, 2 Mn 2.57
Mn 0.4959 0.9430 0.0000  4 P 2.28-2.37
Mn 0.0570 0.5529 0.0000  4 P 2.28-2.37
Mn 0.4472 0.5041 0.0000  4 P 2.28-2.37
Mn 0.7325 0.1070 0.5000  4 P 2.32-2.40, 2 Mn 2.57
Mn 0.8930 0.6256 0.5000  4 P 2.32-2.40, 2 Mn 2.57
Mn 0.3744 0.2674 0.5000  4 P 2.32-2.40, 2 Mn 2.57
Mn 0.5716 0.7699 0.5000  5 P 2.50-2.66, 5 Mn 2.76-2.77
Mn 0.2300 0.8017 0.5000  5 P 2.50-2.66, 5 Mn 2.76-2.77
Mn 0.1984 0.4284 0.5000  5 P 2.50-2.66, 5 Mn 2.76-2.77
P 0.4686 0.0842 0.5000  7 Mn 2.32-2.50
P 0.9159 0.3844 0.5000  7 Mn 2.32-2.50
P 0.6156 0.5314 0.5000  7 Mn 2.32-2.50
P 0.7526 0.9574 0.0000  7 Mn 2.34-2.50
P 0.0426 0.7952 0.0000  7 Mn 2.34-2.50
P 0.2048 0.2474 0.0000  7 Mn 2.34-2.50
P 0.3334 0.6666 0.0000  3 Mn 2.28

Summary:
final energy	-15.806	eV/atom
energy of formation from the pure elements	-16.5	eV per formula unit

***

4.
# TmCdAg2

A relaxed TmCdAg2 crystal (r²SCAN, the Materials Project database).

a = 4.8500 Å, b = 4.8500 Å, c = 4.8500 Å
α = 60.17°, β = 60.17°, γ = 60.17°
With the nearest neighbours (Å) after each atom.
Atoms (fractional coordinates):
Tm 0.7500 0.7500 0.7500  8 Ag 2.97-2.98
Cd 0.2500 0.2500 0.2500  8 Ag 2.96-2.98
Ag 0.4997 0.4997 0.4997  4 Cd 2.96-2.98, 4 Tm 2.97-2.98
Ag 0.0003 0.0003 0.0003  4 Cd 2.96-2.98, 4 Tm 2.97-2.98

Summary:
final energy	-24.769	eV/atom
energy of formation from the pure elements	-1.1	eV per formula unit

***

5.
# AuSeBr

A relaxed AuSeBr crystal (r²SCAN, the Materials Project database).

a = 6.9243 Å, b = 7.5185 Å, c = 12.4579 Å
α = 90.00°, β = 90.00°, γ = 90.00°
With the nearest neighbours (Å) after each atom.
Atoms (fractional coordinates):
Au 0.3355 0.7499 0.7500  4 Se 2.51
Au 0.8355 0.7501 0.7500  4 Se 2.51
Au 0.1645 0.2499 0.2500  4 Se 2.51
Au 0.6645 0.2501 0.2500  4 Se 2.51
Au 0.5861 0.3618 0.7500  2 Se 2.47, 2 Br 2.49
Au 0.0861 0.1382 0.7500  2 Se 2.47, 2 Br 2.49
Au 0.9139 0.8618 0.2500  2 Se 2.47, 2 Br 2.49
Au 0.4139 0.6382 0.2500  2 Se 2.47, 2 Br 2.49
Se 0.5850 0.6194 0.8730  3 Au 2.47-2.51
Se 0.0850 0.8806 0.6270  3 Au 2.47-2.51
Se 0.4150 0.3806 0.3730  3 Au 2.47-2.51
Se 0.5850 0.6194 0.6270  3 Au 2.47-2.51
Se 0.0850 0.8806 0.8730  3 Au 2.47-2.51
Se 0.9150 0.1194 0.3730  3 Au 2.47-2.51
Se 0.4150 0.3806 0.1270  3 Au 2.47-2.51
Se 0.9150 0.1194 0.1270  3 Au 2.47-2.51
Br 0.9135 0.6323 0.3943  1 Au 2.49
Br 0.0865 0.3677 0.8943  1 Au 2.49
Br 0.5865 0.1323 0.6057  1 Au 2.49
Br 0.5865 0.1323 0.8943  1 Au 2.49
Br 0.4135 0.8677 0.3943  1 Au 2.49
Br 0.9135 0.6323 0.1057  1 Au 2.49
Br 0.4135 0.8677 0.1057  1 Au 2.49
Br 0.0865 0.3677 0.6057  1 Au 2.49

Summary:
final energy	-26.270	eV/atom
energy of formation from the pure elements	-0.7	eV per formula unit

***

6.
# Ce2Si3Rh

A relaxed Ce2Si3Rh crystal (r²SCAN, the Materials Project database).

a = 8.2136 Å, b = 8.2135 Å, c = 4.2103 Å
α = 90.00°, β = 90.00°, γ = 120.00°
With the nearest neighbours (Å) after each atom.
Atoms (fractional coordinates):
Ce 0.0000 0.0000 0.5000  12 Si 3.17
Ce 0.0000 0.5000 0.5000  4 Rh 3.17, 8 Si 3.17
Ce 0.5000 0.5000 0.5000  4 Rh 3.17, 8 Si 3.17
Ce 0.5000 0.0000 0.5000  4 Rh 3.17, 8 Si 3.17
Si 0.3323 0.1661 0.0000  2 Si 2.36, 1 Rh 2.38
Si 0.8339 0.1661 0.0000  2 Si 2.36, 1 Rh 2.38
Si 0.8339 0.6677 0.0000  2 Si 2.36, 1 Rh 2.38
Si 0.1661 0.3323 0.0000  2 Si 2.36, 1 Rh 2.38
Si 0.1661 0.8339 0.0000  2 Si 2.36, 1 Rh 2.38
Si 0.6677 0.8339 0.0000  2 Si 2.36, 1 Rh 2.38
Rh 0.6666 0.3333 0.0000  3 Si 2.38
Rh 0.3334 0.6667 0.0000  3 Si 2.38

Summary:
final energy	-19.651	eV/atom
energy of formation from the pure elements	-5.8	eV per formula unit

***

Among the records above, which one has the lowest final energy?
AuSeBr

***

What is the formula in the sixth record?
Ce2Si3Rh